Entry 1:
Computed, not measured: a relaxed structure of Sc2Si4Mo3 at the r²SCAN level of DFT.

Summary:
Crystal system: orthorhombic

Geometry as POSCAR:
```
Sc2Si4Mo3
1.0
-3.8996 -2.7588 4.4721
2.5958 -6.0826 -1.4889
8.9147 1.6521 8.7926
Si Mo Sc
16 12 8
Direct
0.6639 0.0374 0.5450
0.5326 0.3745 0.7500
0.2010 0.3620 0.2500
0.8361 0.5374 0.4550
0.7990 0.6380 0.7500
0.1639 0.4626 0.9550
0.6639 0.0374 0.9550
0.4674 0.6255 0.2500
0.8361 0.5374 0.0450
0.9674 0.8745 0.2500
0.0326 0.1255 0.7500
0.7010 0.1380 0.2500
0.2990 0.8620 0.7500
0.1639 0.4626 0.5450
0.3361 0.9626 0.0450
0.3361 0.9626 0.4550
0.1711 0.6663 0.1235
0.1651 0.5059 0.7500
0.3349 0.0059 0.2500
0.6651 0.9941 0.7500
0.3289 0.1663 0.8765
0.8289 0.3337 0.6235
0.8349 0.4941 0.2500
0.6711 0.8337 0.1235
0.6711 0.8337 0.3765
0.1711 0.6663 0.3765
0.8289 0.3337 0.8765
0.3289 0.1663 0.6235
0.5032 0.6696 0.5928
0.0032 0.8304 0.5928
0.4968 0.3304 0.0928
0.0032 0.8304 0.9072
0.9968 0.1696 0.4072
0.9968 0.1696 0.0928
0.5032 0.6696 0.9072
0.4968 0.3304 0.4072
```

Entry 2:
Computed, not measured: a relaxed structure of MnV at the r²SCAN level of DFT.

Summary:
Crystal system: cubic

Geometry as POSCAR:
```
MnV
1.0
2.8558 0.0000 0.0000
0.0000 2.8558 0.0000
0.0000 0.0000 2.8558
V Mn
1 1
Direct
0.5000 0.5000 0.5000
0.0000 0.0000 0.0000
```

Entry 3:
Computed, not measured: a relaxed structure of ErAg2 at the r²SCAN level of DFT.

Summary:
Crystal system: tetragonal

Geometry as POSCAR:
```
ErAg2
1.0
3.4508 0.0000 -1.2829
-0.4770 3.4177 -1.2829
-0.0134 -0.0154 5.2465
Er Ag
1 2
Direct
0.0000 0.0000 0.0000
0.6691 0.6691 0.3382
0.3309 0.3309 0.6618
```

Entry 4:
Computed, not measured: a relaxed structure of LiCo4O8 at the r²SCAN level of DFT.

Summary:
Crystal system: monoclinic

Geometry as POSCAR:
```
LiCo4O8
1.0
4.7189 2.0384 2.1087
-4.2360 4.7918 4.8437
-0.1947 -3.9206 4.2288
Li Co O
2 8 16
Direct
0.0000 0.5000 0.5000
0.5000 0.0000 0.0000
0.9999 0.0000 0.5000
0.5001 0.5000 0.0000
0.7538 0.7501 0.7529
0.2462 0.2500 0.2470
0.4999 0.0000 0.5000
0.2537 0.7500 0.7470
0.0001 0.5000 0.0000
0.7462 0.2500 0.2530
0.0055 0.7316 0.9655
0.2498 0.5180 0.7795
0.5033 0.7348 0.9665
0.9945 0.2684 0.0346
0.4968 0.2651 0.0335
0.2462 0.4851 0.2166
0.7504 0.4820 0.2205
0.2538 0.9851 0.7167
0.9967 0.2348 0.4665
0.7540 0.5149 0.7834
0.4945 0.2316 0.4654
0.5055 0.7684 0.5346
0.2503 0.0179 0.2796
0.7495 0.9821 0.7205
0.7461 0.0149 0.2834
0.0032 0.7651 0.5335
```

Entry 5:
Computed, not measured: a relaxed structure of La5Pb3S at the r²SCAN level of DFT.

Summary:
Crystal system: hexagonal

Geometry as POSCAR:
```
La5Pb3S
1.0
0.3523 5.9787 -7.5800
-0.8631 -9.5204 -1.3934
-7.1249 0.6225 0.1598
Pb La S
6 10 2
Direct
0.0000 0.3950 0.2500
0.0000 0.6050 0.7500
0.3950 0.3950 0.7500
0.6050 0.0000 0.7500
0.3950 0.0000 0.2500
0.6050 0.6050 0.2500
0.0000 0.7565 0.2500
0.3333 0.6667 0.0000
0.6667 0.3333 0.0000
0.2435 0.0000 0.7500
0.7565 0.7565 0.7500
0.3333 0.6667 0.5000
0.0000 0.2435 0.7500
0.6667 0.3333 0.5000
0.7565 0.0000 0.2500
0.2435 0.2435 0.2500
0.0000 0.0000 0.0000
0.0000 0.0000 0.5000
```

Entry 6:
Computed, not measured: a relaxed structure of Sm4In21Pd10 at the r²SCAN level of DFT.

Summary:
Crystal system: monoclinic

Geometry as POSCAR:
```
Sm4In21Pd10
1.0
2.2459 11.6017 0.0717
-2.2459 11.6017 0.0717
0.0000 9.7536 14.3442
In Pd Sm
21 10 4
Direct
0.6163 0.6163 0.7947
0.3837 0.3837 0.2053
0.7011 0.7011 0.0000
0.4578 0.4578 0.8667
0.5000 0.5000 0.0000
0.8840 0.8840 0.0512
0.2514 0.2514 0.2059
0.3688 0.3688 0.6984
0.3987 0.3987 0.4966
0.0116 0.0116 0.4062
0.0635 0.0635 0.7039
0.6312 0.6312 0.3016
0.6013 0.6013 0.5034
0.2989 0.2989 0.0000
0.2017 0.2017 0.4964
0.9365 0.9365 0.2961
0.7486 0.7486 0.7941
0.9884 0.9884 0.5938
0.7983 0.7983 0.5036
0.1160 0.1160 0.9488
0.5422 0.5422 0.1333
0.9750 0.9750 0.1106
0.8615 0.8615 0.6064
0.0250 0.0250 0.8894
0.5064 0.5064 0.3133
0.4936 0.4936 0.6867
0.6532 0.6532 0.6134
0.1385 0.1385 0.3936
0.3468 0.3468 0.3866
0.7491 0.7491 0.1151
0.2509 0.2509 0.8849
0.8777 0.8777 0.8318
0.1223 0.1223 0.1682
0.7700 0.7700 0.3271
0.2300 0.2300 0.6729
```

Entry 7:
Computed, not measured: a relaxed structure of TbNi5 at the r²SCAN level of DFT.

Summary:
Crystal system: hexagonal

Geometry as POSCAR:
```
TbNi5
1.0
4.8370 0.0001 0.0000
-2.4184 4.1891 0.0000
0.0000 0.0000 3.9106
Ni Tb
5 1
Direct
0.5000 0.0000 0.5000
0.6667 0.3333 0.0000
0.5000 0.5000 0.5000
0.3333 0.6667 0.0000
0.0000 0.5000 0.5000
0.0000 0.0000 0.0000
```

Entry 8:
Computed, not measured: a relaxed structure of Tb2ReC2 at the r²SCAN level of DFT.

Summary:
Crystal system: orthorhombic

Geometry as POSCAR:
```
Tb2ReC2
1.0
-4.9628 1.3119 -0.2416
-1.2929 -3.9516 5.1028
1.6800 7.5042 6.2368
C Tb Re
8 8 4
Direct
0.2500 0.9561 0.7411
0.2500 0.4561 0.7589
0.2500 0.3200 0.4535
0.7500 0.1800 0.9535
0.2500 0.8200 0.0465
0.7500 0.0439 0.2589
0.7500 0.6800 0.5465
0.7500 0.5439 0.2411
0.2500 0.0317 0.2853
0.2500 0.1810 0.9444
0.7500 0.3190 0.4444
0.7500 0.4683 0.7853
0.7500 0.9683 0.7147
0.2500 0.5317 0.2147
0.2500 0.6810 0.5556
0.7500 0.8190 0.0556
0.2500 0.2229 0.6359
0.7500 0.7771 0.3641
0.7500 0.2771 0.1359
0.2500 0.7229 0.8641
```

no.,energy of formation (eV/atom),total magnetic moment (μB/atom),raw total energy (eV/cell)
1,-0.7390,0.000,-571.04
2,-0.1981,0.000,-29.17
3,-0.3422,0.000,-77.66
4,-1.2553,0.231,-238.85
5,-1.2229,0.104,-673.24
6,-0.6241,0.000,-844.53
7,-0.3084,0.314,-92.99
8,-0.5552,0.000,-550.13